1.
MgMn2P2O8F2: optimized geometry, PBE with a Hubbard U.

E (MP2020)	-114.297	eV per formula unit
SG	P-1 (2)
volume	183.2	Å³ per cell
energy above the most stable polymorph in this dataset	0.000	eV per atom
spin magnetization	8.000	μB per formula unit

Cell: 5.1467 5.4285 7.3305 Å, 109.51 106.76 91.42°
Last column: nearest neighbours and their distance in Å.
Element x y z (fractional)
Mg1 0.0000 0.0000 0.0000  2 F 1.96, 4 O 2.08-2.11
Mn1 0.0000 0.5000 0.0000  4 O 1.97, 2 F 2.15
Mn2 0.5000 0.0000 0.5000  4 O 1.95-2.00, 2 F 2.18
P1 0.3960 0.5932 0.7452  4 O 1.52-1.58
P2 0.6040 0.4068 0.2548  4 O 1.52-1.58
O1 0.1908 0.6768 0.8706  1 P 1.57
O2 0.3049 0.3164 0.0988  1 P 1.58
O3 0.3400 0.2914 0.6476  1 P 1.53
O4 0.3502 0.7466 0.6007  1 P 1.52
O5 0.6498 0.2534 0.3993  1 P 1.52
O6 0.6600 0.7086 0.3524  1 P 1.53
O7 0.6951 0.6836 0.9012  1 P 1.58
O8 0.8092 0.3232 0.1294  1 P 1.57
F1 0.1369 0.8837 0.2328  1 Mg 1.96, 2 Mn 2.15-2.18
F2 0.8631 0.1163 0.7672  1 Mg 1.96, 2 Mn 2.15-2.18

2.
Li9Mn2Co5O16: optimized geometry, PBE with a Hubbard U.

E (MP2020)	-207.991	eV per formula unit
SG	P-1 (2)
volume	289.7	Å³ per cell
energy above the most stable polymorph in this dataset	0.059	eV per atom
spin magnetization	8.000	μB per formula unit

Cell: 5.8694 5.9250 9.7533 Å, 99.64 90.21 119.46°
Last column: nearest neighbours and their distance in Å.
Element x y z (fractional)
Li1 0.0000 0.0000 0.0000  6 O 2.09-2.16
Li2 0.0000 0.5000 0.0000  6 O 2.14-2.19
Li3 0.1310 0.2458 0.7670  4 O 2.04-2.26
Li4 0.2493 0.9999 0.5001  6 O 2.11-2.16
Li5 0.3740 0.7541 0.2425  3 O 1.99-2.02
Li6 0.5000 0.5000 0.0000  6 O 2.09-2.20
Li7 0.6260 0.2459 0.7575  3 O 1.99-2.02
Li8 0.7507 0.0001 0.4999  6 O 2.11-2.16
Li9 0.8690 0.7542 0.2330  4 O 2.04-2.26
Mn1 0.2501 0.5000 0.5007  6 O 1.92-1.97
Mn2 0.7499 0.5000 0.4993  6 O 1.92-1.97
Co1 0.1230 0.7534 0.7616  6 O 1.92-2.13
Co2 0.3616 0.2337 0.2381  3 O 1.85-2.03
Co3 0.5000 0.0000 0.0000  6 O 1.97-2.08
Co4 0.6384 0.7663 0.7619  3 O 1.85-2.03
Co5 0.8770 0.2466 0.2384  6 O 1.92-2.13
O1 0.0510 0.6056 0.3889  2 Mn 1.96-1.97, 1 Li 2.11, 1 Co 2.13
O2 0.0757 0.1537 0.3773  1 Mn 1.95, 2 Co 2.08-2.09, 2 Li 2.14
O3 0.1842 0.3809 0.1395  2 Co 1.92-1.98, 2 Li 1.99-2.14
O4 0.1996 0.8960 0.1310  1 Co 1.85, 2 Li 2.02-2.04
O5 0.3185 0.1018 0.8732  2 Co 1.92-1.97, 3 Li 2.02-2.13
O6 0.3206 0.6311 0.8730  3 Co 2.03-2.06, 3 Li 2.05-2.14
O7 0.4195 0.8411 0.6220  1 Mn 1.92, 2 Co 2.11-2.13, 1 Li 2.14
O8 0.4495 0.3969 0.6119  2 Mn 1.96-1.97, 1 Li 2.12, 1 Co 2.17
O9 0.5505 0.6031 0.3881  2 Mn 1.96-1.97, 1 Li 2.12, 1 Co 2.17
O10 0.5805 0.1589 0.3780  1 Mn 1.92, 2 Co 2.11-2.13, 1 Li 2.14
O11 0.6794 0.3689 0.1270  3 Co 2.03-2.06, 3 Li 2.05-2.14
O12 0.6815 0.8982 0.1268  2 Co 1.92-1.97, 3 Li 2.02-2.13
O13 0.8004 0.1040 0.8690  1 Co 1.85, 2 Li 2.02-2.04
O14 0.8158 0.6191 0.8605  2 Co 1.92-1.98, 2 Li 1.99-2.14
O15 0.9243 0.8463 0.6227  1 Mn 1.95, 2 Co 2.08-2.09, 2 Li 2.14
O16 0.9490 0.3944 0.6111  2 Mn 1.96-1.97, 1 Li 2.11, 1 Co 2.13